[1]
Material: ScNb6Cl13O3
Method: DFT, GGA-PBE
State: relaxed

Output
Total magnetization (μB/atom): 0.00
MP2020-corrected energy (eV/atom): -6.358
ΔE_f (eV/atom): -1.758

```
data_ScNb6Cl13O3
_space_group_name_H-M_alt 'I 41 2 2'
_space_group_IT_number 98
_space_group_name_Hall 'I 4bw 2bw'
_cell_length_a 9.232
_cell_length_b 9.232
_cell_length_c 53.207
_cell_angle_alpha 90.00
_cell_angle_beta 90.00
_cell_angle_gamma 90.00
loop_
_atom_site_label
_atom_site_type_symbol
_atom_site_fract_x
_atom_site_fract_y
_atom_site_fract_z
Sc1 Sc 0.000 0.000 0.094
Nb1 Nb 0.081 0.642 0.466
Nb2 Nb 0.092 0.627 0.409
Nb3 Nb 0.116 0.192 0.187
Cl1 Cl 0.000 0.000 0.253
Cl2 Cl 0.021 0.683 0.220
Cl3 Cl 0.050 0.231 0.929
Cl4 Cl 0.120 0.205 0.404
Cl5 Cl 0.134 0.199 0.469
Cl6 Cl 0.172 0.672 0.750
Cl7 Cl 0.181 0.691 0.687
Cl8 Cl 0.231 0.750 0.625
O1 O 0.000 0.000 0.132
O2 O 0.017 0.721 0.161
```

***

[2]
Material: Mn4IrN4
Method: DFT, GGA-PBE
State: relaxed

Output
Total magnetization (μB/atom): 0.44
MP2020-corrected energy (eV/atom): -8.947
ΔE_f (eV/atom): -0.188

```
data_Mn4IrN4
_space_group_name_H-M_alt 'P -1'
_space_group_IT_number 2
_space_group_name_Hall '-P 1'
_cell_length_a 5.410
_cell_length_b 5.683
_cell_length_c 6.946
_cell_angle_alpha 92.50
_cell_angle_beta 103.66
_cell_angle_gamma 117.29
loop_
_atom_site_label
_atom_site_type_symbol
_atom_site_fract_x
_atom_site_fract_y
_atom_site_fract_z
Mn1 Mn 0.059 0.343 0.094
Mn2 Mn 0.279 0.576 0.494
Mn3 Mn 0.311 0.043 0.724
Mn4 Mn 0.411 0.647 0.913
Ir1 Ir 0.209 0.004 0.273
N1 N 0.120 0.658 0.694
N2 N 0.223 0.272 0.887
N3 N 0.274 0.723 0.128
N4 N 0.334 0.259 0.522
```

***

[3]
Material: BaNa6O4
Method: DFT, GGA-PBE
State: relaxed

Output
Total magnetization (μB/atom): 0.00
MP2020-corrected energy (eV/atom): -4.355
ΔE_f (eV/atom): -1.660

```
data_BaNa6O4
_space_group_name_H-M_alt 'I -4 3 m'
_space_group_IT_number 217
_space_group_name_Hall 'I -4 2 3'
_cell_length_a 11.521
_cell_length_b 11.521
_cell_length_c 11.521
_cell_angle_alpha 90.00
_cell_angle_beta 90.00
_cell_angle_gamma 90.00
loop_
_atom_site_label
_atom_site_type_symbol
_atom_site_fract_x
_atom_site_fract_y
_atom_site_fract_z
Ba1 Ba 0.126 0.126 0.126
Na1 Na 0.096 0.376 0.624
Na2 Na 0.126 0.126 0.653
O1 O 0.000 0.000 0.000
O2 O 0.000 0.000 0.500
O3 O 0.016 0.261 0.261
```

***

[4]
Material: CaEu3
Method: DFT, GGA-PBE
State: relaxed

Output
ΔE_f (eV/atom): 0.019

```
data_CaEu3
_space_group_name_H-M_alt 'I 4/m m m'
_space_group_IT_number 139
_space_group_name_Hall '-I 4 2'
_cell_length_a 5.527
_cell_length_b 5.527
_cell_length_c 11.442
_cell_angle_alpha 90.00
_cell_angle_beta 90.00
_cell_angle_gamma 90.00
loop_
_atom_site_label
_atom_site_type_symbol
_atom_site_fract_x
_atom_site_fract_y
_atom_site_fract_z
Ca1 Ca 0.000 0.000 0.000
Eu1 Eu 0.000 0.000 0.500
Eu2 Eu 0.000 0.500 0.250
```

***

[5]
Material: KMgH5Se2O10
Method: DFT, GGA-PBE
State: relaxed

Output
Total magnetization (μB/atom): 0.00
MP2020-corrected energy (eV/atom): -5.562
ΔE_f (eV/atom): -1.555

```
data_KMgH5Se2O10
_space_group_name_H-M_alt 'P 1'
_space_group_IT_number 1
_space_group_name_Hall 'P 1'
_cell_length_a 4.783
_cell_length_b 6.058
_cell_length_c 8.743
_cell_angle_alpha 103.59
_cell_angle_beta 97.66
_cell_angle_gamma 98.27
loop_
_atom_site_label
_atom_site_type_symbol
_atom_site_fract_x
_atom_site_fract_y
_atom_site_fract_z
K1 K 0.000 0.000 0.000
Mg1 Mg 0.002 0.002 0.511
H1 H 0.074 0.668 0.665
H2 H 0.380 0.739 0.617
H3 H 0.485 0.525 0.018
H4 H 0.622 0.257 0.409
H5 H 0.917 0.319 0.347
Se1 Se 0.367 0.675 0.269
Se2 Se 0.623 0.319 0.751
O1 O 0.180 0.413 0.238
O2 O 0.180 0.888 0.302
O3 O 0.195 0.785 0.628
O4 O 0.352 0.275 0.598
O5 O 0.475 0.695 0.089
O6 O 0.505 0.304 0.922
O7 O 0.652 0.716 0.410
O8 O 0.797 0.201 0.383
O9 O 0.813 0.107 0.712
O10 O 0.818 0.579 0.776
```

***

[6]
Material: LiCuP4O11
Method: DFT, GGA-PBE
State: relaxed

Output
Total magnetization (μB/atom): 0.00
MP2020-corrected energy (eV/atom): -7.139
ΔE_f (eV/atom): -2.310

```
data_LiCuP4O11
_space_group_name_H-M_alt 'P 1'
_space_group_IT_number 1
_space_group_name_Hall 'P 1'
_cell_length_a 9.579
_cell_length_b 9.623
_cell_length_c 10.910
_cell_angle_alpha 70.43
_cell_angle_beta 70.70
_cell_angle_gamma 89.13
loop_
_atom_site_label
_atom_site_type_symbol
_atom_site_fract_x
_atom_site_fract_y
_atom_site_fract_z
Li1 Li 0.000 0.000 0.000
Li2 Li 0.050 0.831 0.525
Li3 Li 0.501 0.558 0.910
Li4 Li 0.661 0.640 0.281
Cu1 Cu 0.004 0.446 0.721
Cu2 Cu 0.062 0.963 0.218
Cu3 Cu 0.497 0.399 0.251
Cu4 Cu 0.544 0.942 0.715
P1 P 0.012 0.783 0.831
P2 P 0.033 0.108 0.656
P3 P 0.185 0.430 0.152
P4 P 0.191 0.301 0.925
P5 P 0.214 0.769 0.994
P6 P 0.335 0.616 0.442
P7 P 0.360 0.086 0.513
P8 P 0.360 0.954 0.290
P9 P 0.517 0.278 0.783
P10 P 0.536 0.598 0.608
P11 P 0.673 0.287 0.985
P12 P 0.674 0.961 0.114
P13 P 0.691 0.756 0.951
P14 P 0.859 0.626 0.486
P15 P 0.872 0.427 0.322
P16 P 0.873 0.100 0.453
O1 O 0.008 0.429 0.188
O2 O 0.024 0.740 0.711
O3 O 0.026 0.961 0.794
O4 O 0.078 0.170 0.008
O5 O 0.092 0.827 0.087
O6 O 0.136 0.725 0.894
O7 O 0.172 0.430 0.812
O8 O 0.191 0.524 0.522
O9 O 0.203 0.153 0.573
O10 O 0.238 0.360 0.268
O11 O 0.238 0.367 0.030
O12 O 0.245 0.602 0.077
O13 O 0.293 0.784 0.370
O14 O 0.306 0.016 0.411
O15 O 0.309 0.023 0.172
O16 O 0.346 0.231 0.868
O17 O 0.363 0.851 0.913
O18 O 0.376 0.956 0.627
O19 O 0.412 0.655 0.544
O20 O 0.459 0.580 0.334
O21 O 0.474 0.214 0.426
O22 O 0.520 0.422 0.650
O23 O 0.530 0.649 0.722
O24 O 0.538 0.951 0.251
O25 O 0.567 0.280 0.123
O26 O 0.577 0.343 0.875
O27 O 0.594 0.161 0.739
O28 O 0.601 0.609 0.012
O29 O 0.625 0.828 0.076
O30 O 0.682 0.108 0.993
O31 O 0.687 0.652 0.473
O32 O 0.708 0.867 0.813
O33 O 0.726 0.012 0.523
O34 O 0.741 0.464 0.280
O35 O 0.810 0.932 0.149
O36 O 0.823 0.369 0.916
O37 O 0.837 0.521 0.628
O38 O 0.857 0.277 0.443
O39 O 0.861 0.727 0.960
O40 O 0.927 0.550 0.368
O41 O 0.947 0.775 0.426
O42 O 0.956 0.222 0.707
O43 O 0.970 0.047 0.564
O44 O 0.982 0.106 0.317
```

***

Please write out number 1 again, unchanged.
Material: ScNb6Cl13O3
Method: DFT, GGA-PBE
State: relaxed

Output
Total magnetization (μB/atom): 0.00
MP2020-corrected energy (eV/atom): -6.358
ΔE_f (eV/atom): -1.758

```
data_ScNb6Cl13O3
_space_group_name_H-M_alt 'I 41 2 2'
_space_group_IT_number 98
_space_group_name_Hall 'I 4bw 2bw'
_cell_length_a 9.232
_cell_length_b 9.232
_cell_length_c 53.207
_cell_angle_alpha 90.00
_cell_angle_beta 90.00
_cell_angle_gamma 90.00
loop_
_atom_site_label
_atom_site_type_symbol
_atom_site_fract_x
_atom_site_fract_y
_atom_site_fract_z
Sc1 Sc 0.000 0.000 0.094
Nb1 Nb 0.081 0.642 0.466
Nb2 Nb 0.092 0.627 0.409
Nb3 Nb 0.116 0.192 0.187
Cl1 Cl 0.000 0.000 0.253
Cl2 Cl 0.021 0.683 0.220
Cl3 Cl 0.050 0.231 0.929
Cl4 Cl 0.120 0.205 0.404
Cl5 Cl 0.134 0.199 0.469
Cl6 Cl 0.172 0.672 0.750
Cl7 Cl 0.181 0.691 0.687
Cl8 Cl 0.231 0.750 0.625
O1 O 0.000 0.000 0.132
O2 O 0.017 0.721 0.161
```